! GGA+U MgFe2P2O9, relaxed; values from VASP
&SYSTEM
  ibrav = 0, nat = 56, ntyp = 4
/
ATOMIC_SPECIES
Mg 24.30 Mg.upf
Fe 55.84 Fe.upf
P 30.97 P.upf
O 16.00 O.upf
ATOMIC_POSITIONS crystal
Mg 0.227 0.250 0.077
Mg 0.273 0.750 0.577
Mg 0.727 0.250 0.423
Mg 0.773 0.750 0.923
Fe 0.000 0.000 0.000
Fe 0.000 0.500 0.000
Fe 0.119 0.250 0.642
Fe 0.381 0.750 0.142
Fe 0.500 0.000 0.500
Fe 0.500 0.500 0.500
Fe 0.619 0.250 0.858
Fe 0.881 0.750 0.358
P 0.073 0.750 0.636
P 0.195 0.750 0.117
P 0.305 0.250 0.617
P 0.427 0.250 0.136
P 0.573 0.750 0.864
P 0.695 0.750 0.383
P 0.805 0.250 0.883
P 0.927 0.250 0.364
O 0.003 0.250 0.507
O 0.025 0.750 0.825
O 0.050 0.250 0.870
O 0.137 0.540 0.107
O 0.137 0.960 0.107
O 0.142 0.562 0.624
O 0.142 0.938 0.624
O 0.232 0.250 0.461
O 0.246 0.250 0.797
O 0.254 0.750 0.297
O 0.268 0.750 0.961
O 0.358 0.062 0.124
O 0.358 0.438 0.124
O 0.363 0.040 0.607
O 0.363 0.460 0.607
O 0.450 0.750 0.370
O 0.475 0.250 0.325
O 0.497 0.750 0.007
O 0.503 0.250 0.993
O 0.525 0.750 0.675
O 0.550 0.250 0.630
O 0.637 0.540 0.393
O 0.637 0.960 0.393
O 0.642 0.562 0.876
O 0.642 0.938 0.876
O 0.732 0.250 0.039
O 0.746 0.250 0.703
O 0.754 0.750 0.203
O 0.768 0.750 0.539
O 0.858 0.062 0.376
O 0.858 0.438 0.376
O 0.863 0.040 0.893
O 0.863 0.460 0.893
O 0.950 0.750 0.130
O 0.975 0.250 0.175
O 0.997 0.750 0.493
CELL_PARAMETERS angstrom
14.235 0.000 0.000
0.000 6.315 0.000
0.000 0.000 7.382
! **ΔH_f (0 K)**: -2.443 eV/atom
! **Crystal system**: orthorhombic
! **Symmetry**: Pnma, No. 62
! **V**: 11.85 Å³ per atom

---

! GGA+U Ba2UNiO6, relaxed; values from VASP
&SYSTEM
  ibrav = 0, nat = 10, ntyp = 4
/
ATOMIC_SPECIES
Ba 137.33 Ba.upf
U 238.03 U.upf
Ni 58.69 Ni.upf
O 16.00 O.upf
ATOMIC_POSITIONS crystal
Ba 0.250 0.250 0.250
Ba 0.750 0.750 0.750
U 0.000 0.000 0.000
Ni 0.500 0.500 0.500
O 0.248 0.248 0.752
O 0.248 0.752 0.248
O 0.248 0.752 0.752
O 0.752 0.248 0.248
O 0.752 0.248 0.752
O 0.752 0.752 0.248
CELL_PARAMETERS angstrom
0.000 4.219 4.219
4.219 0.000 4.219
4.219 4.219 0.000
! **ΔH_f (0 K)**: -3.084 eV/atom
! **Crystal system**: cubic
! **Symmetry**: Fm-3m, No. 225
! **V**: 15.02 Å³ per atom